# PBE-GGA Mg5Si8O30, relaxed
data_Mg5Si8O30
_chemical_formula_sum 'Mg10 Si16 O60'
_cell_length_a 13.392
_cell_length_b 18.304
_cell_length_c 5.357
_cell_angle_alpha 90.00
_cell_angle_beta 90.00
_cell_angle_gamma 90.00
_space_group_name_H-M_alt 'P 1'
_space_group_IT_number 1
loop_
_space_group_symop_operation_xyz
'x,y,z'
loop_
_atom_site_label
_atom_site_type_symbol
_atom_site_fract_x
_atom_site_fract_y
_atom_site_fract_z
O1 O 0.911 0.165 0.696
O2 O 0.059 0.000 0.353
O3 O 0.968 0.717 0.188
O4 O 0.086 0.089 0.834
O5 O 0.411 0.335 0.304
O6 O 0.000 0.358 0.500
O7 O 0.032 0.717 0.812
O8 O 0.032 0.283 0.812
O9 O 0.532 0.783 0.188
O10 O 0.000 0.642 0.500
O11 O 0.914 0.089 0.166
O12 O 0.941 0.000 0.647
O13 O 0.500 0.142 0.500
O14 O 0.750 0.876 0.431
O15 O 0.468 0.783 0.812
O16 O 0.911 0.835 0.696
O17 O 0.414 0.411 0.834
O18 O 0.247 0.000 0.829
O19 O 0.586 0.589 0.166
O20 O 0.753 0.000 0.171
O21 O 0.089 0.165 0.304
O22 O 0.000 0.678 0.000
O23 O 0.250 0.876 0.569
O24 O 0.000 0.322 0.000
O25 O 0.750 0.124 0.431
O26 O 0.250 0.124 0.569
O27 O 0.243 0.627 0.067
O28 O 0.500 0.822 0.000
O29 O 0.747 0.500 0.171
O30 O 0.914 0.911 0.166
O31 O 0.257 0.127 0.067
O32 O 0.250 0.750 0.327
O33 O 0.411 0.665 0.304
O34 O 0.589 0.335 0.696
O35 O 0.757 0.373 0.933
O36 O 0.089 0.835 0.304
O37 O 0.253 0.500 0.829
O38 O 0.532 0.217 0.188
O39 O 0.750 0.376 0.431
O40 O 0.500 0.858 0.500
O41 O 0.086 0.911 0.834
O42 O 0.559 0.500 0.647
O43 O 0.257 0.873 0.067
O44 O 0.250 0.250 0.327
O45 O 0.468 0.217 0.812
O46 O 0.500 0.178 0.000
O47 O 0.243 0.373 0.067
O48 O 0.414 0.589 0.834
O49 O 0.589 0.665 0.696
O50 O 0.750 0.250 0.673
O51 O 0.586 0.411 0.166
O52 O 0.757 0.627 0.933
O53 O 0.250 0.624 0.569
O54 O 0.750 0.750 0.673
O55 O 0.441 0.500 0.353
O56 O 0.743 0.873 0.933
O57 O 0.750 0.624 0.431
O58 O 0.968 0.283 0.188
O59 O 0.743 0.127 0.933
O60 O 0.250 0.376 0.569
Mg1 Mg 0.000 0.833 0.000
Mg2 Mg 0.500 0.667 0.000
Mg3 Mg 0.500 0.405 0.500
Mg4 Mg 0.000 0.905 0.500
Mg5 Mg 0.500 0.333 0.000
Mg6 Mg 0.000 0.000 0.000
Mg7 Mg 0.500 0.500 0.000
Mg8 Mg 0.000 0.167 0.000
Mg9 Mg 0.500 0.595 0.500
Mg10 Mg 0.000 0.095 0.500
Si1 Si 0.791 0.085 0.176
Si2 Si 0.209 0.915 0.824
Si3 Si 0.290 0.333 0.318
Si4 Si 0.210 0.833 0.318
Si5 Si 0.209 0.085 0.824
Si6 Si 0.291 0.415 0.824
Si7 Si 0.290 0.667 0.318
Si8 Si 0.791 0.915 0.176
Si9 Si 0.210 0.167 0.318
Si10 Si 0.291 0.585 0.824
Si11 Si 0.790 0.833 0.682
Si12 Si 0.709 0.585 0.176
Si13 Si 0.790 0.167 0.682
Si14 Si 0.710 0.333 0.682
Si15 Si 0.709 0.415 0.176
Si16 Si 0.710 0.667 0.682
# Raw total energy = -6.60 eV per atom
# Formation enthalpy at 0 K = -1.951 eV per atom
# Offset from the most stable computed form = 0.238 eV per atom